1.
Ti9O10 | GGA-PBE | relaxed

Unit cell a=5.1292 b=5.1292 c=9.9224 alpha=95.78 beta=95.78 gamma=121.10
Closest atoms and distances in Å follow each position.
Atoms (fractional coordinates):
Ti (0.0000, 0.0000, 0.0000)  6 O 2.09-2.16
Ti (0.1033, 0.4407, 0.2572)  5 O 1.96-2.14
Ti (0.1632, 0.8368, 0.5000)  4 O 2.00-2.11
Ti (0.3518, 0.6482, 0.0000)  6 O 2.06-2.15
Ti (0.4407, 0.1033, 0.2572)  5 O 1.96-2.14
Ti (0.5593, 0.8967, 0.7428)  5 O 1.96-2.14
Ti (0.6482, 0.3518, 0.0000)  6 O 2.06-2.15
Ti (0.8368, 0.1632, 0.5000)  4 O 2.00-2.11
Ti (0.8967, 0.5593, 0.7428)  5 O 1.96-2.14
O (0.0574, 0.7133, 0.1197)  5 Ti 2.07-2.15
O (0.1971, 0.5391, 0.6232)  4 Ti 1.96-2.11
O (0.2867, 0.9426, 0.8803)  5 Ti 2.07-2.15
O (0.3925, 0.3925, 0.1379)  5 Ti 2.06-2.16
O (0.4609, 0.8029, 0.3768)  4 Ti 1.96-2.11
O (0.5391, 0.1971, 0.6232)  4 Ti 1.96-2.11
O (0.6075, 0.6075, 0.8621)  5 Ti 2.06-2.16
O (0.7133, 0.0574, 0.1197)  5 Ti 2.07-2.15
O (0.8029, 0.4609, 0.3768)  4 Ti 1.96-2.11
O (0.9426, 0.2867, 0.8803)  5 Ti 2.07-2.15

Output
MP2020-corrected energy in eV for the cell shown: -173.1
M_tot in μB/f.u.: 0.61
Total DFT energy (no corrections) in eV/cell: -166.2
Space group: C2/m
Polymorph energy (0 for the lowest one) in meV/atom: 48.3
Energy of formation in eV per atom: -2.7674

***

2.
Ti2O | GGA-PBE | relaxed

Unit cell a=11.0032 b=11.2795 c=11.3825 alpha=88.86 beta=89.37 gamma=83.85
Closest atoms and distances in Å follow each position.
Atoms (fractional coordinates):
Ti (0.0000, 0.0000, 0.0000)  3 O 2.05-2.19
Ti (0.9996, 0.1545, 0.2355)  1 O 2.02
Ti (0.0079, 0.4152, 0.2529)  2 O 1.95-2.00
Ti (0.0238, 0.9697, 0.4232)  2 O 1.91-1.99
Ti (0.0491, 0.7505, 0.5340)  2 O 2.02-2.13
Ti (0.0548, 0.0446, 0.7277)  4 O 2.13-2.28
Ti (0.0732, 0.4897, 0.4911)  3 O 1.96-2.11
Ti (0.0840, 0.4458, 0.9098)  1 O 2.11
Ti (0.0911, 0.2055, 0.5184)  3 O 2.03-2.11
Ti (0.0962, 0.6347, 0.7845)  1 O 1.95
Ti (0.0974, 0.7826, 0.2619)  3 O 2.01-2.10
Ti (0.1241, 0.2148, 0.0467)  2 O 2.09
Ti (0.1290, 0.7589, 0.9934)  3 O 1.97-2.20
Ti (0.1432, 0.2394, 0.7875)  2 O 1.96-1.99
Ti (0.2078, 0.4842, 0.1005)  1 O 2.01
Ti (0.2133, 0.5578, 0.3189)  1 O 2.01
Ti (0.2433, 0.2836, 0.2753)  2 O 1.97-2.12
Ti (0.2486, 0.8096, 0.7910)  2 O 2.01-2.12
Ti (0.2539, 0.0412, 0.9126)  3 O 2.06-2.27
Ti (0.2591, 0.8824, 0.5581)  2 O 2.04-2.05
Ti (0.2638, 0.4328, 0.7050)  3 O 2.03-2.14
Ti (0.2782, 0.9996, 0.1563)  3 O 1.92-2.06
Ti (0.2921, 0.6257, 0.5750)  3 O 2.03-2.08
Ti (0.3100, 0.1346, 0.6130)  3 O 2.05-2.11
Ti (0.3146, 0.3784, 0.4769)  2 O 2.09-2.17
Ti (0.3296, 0.2854, 0.9345)  2 O 2.00-2.16
Ti (0.3354, 0.7846, 0.3498)  3 O 1.87-2.09
Ti (0.3369, 0.5823, 0.8859)  2 O 2.05-2.23
Ti (0.3451, 0.6814, 0.1303)  2 O 2.00-2.09
Ti (0.4219, 0.0887, 0.3937)  2 O 2.00-2.08
Ti (0.4342, 0.9608, 0.7500)  2 O 2.17-2.18
Ti (0.4510, 0.4623, 0.0743)  1 O 2.04
Ti (0.4657, 0.8125, 0.9495)  1 O 1.98
Ti (0.4878, 0.4857, 0.3132)  2 O 1.98-2.07
Ti (0.4922, 0.2046, 0.7445)  3 O 1.98-2.04
Ti (0.5003, 0.2392, 0.1914)  2 O 2.02-2.06
Ti (0.5231, 0.6730, 0.7294)  2 O 2.03-2.13
Ti (0.5296, 0.4305, 0.6210)  2 O 2.01-2.13
Ti (0.5419, 0.8370, 0.5424)  3 O 1.93-2.08
Ti (0.5465, 0.0361, 0.9785)  2 O 1.95-2.06
Ti (0.5506, 0.9406, 0.2160)  4 O 2.02-2.23
Ti (0.5594, 0.2785, 0.4376)  2 O 1.98-2.08
Ti (0.6109, 0.6021, 0.9427)  1 O 2.18
Ti (0.6138, 0.0635, 0.5656)  3 O 2.15-2.19
Ti (0.6432, 0.6652, 0.3776)  2 O 1.88-1.98
Ti (0.6469, 0.3333, 0.9635)  2 O 1.89-1.98
Ti (0.6630, 0.8502, 0.7846)  2 O 2.13-2.15
Ti (0.6870, 0.0995, 0.3200)  2 O 2.08-2.27
Ti (0.7120, 0.6137, 0.1531)  2 O 2.11-2.12
Ti (0.7196, 0.3509, 0.2268)  2 O 2.00
Ti (0.7373, 0.4781, 0.7567)  3 O 2.01-2.08
Ti (0.7367, 0.8394, 0.0536)  1 O 2.30
Ti (0.7604, 0.8525, 0.3614)  2 O 2.12-2.17
Ti (0.7667, 0.4506, 0.4893)  4 O 2.06-2.23
Ti (0.7725, 0.1395, 0.0852)  1 O 2.06
Ti (0.7749, 0.2439, 0.6604)  4 O 1.97-1.99
Ti (0.7799, 0.6975, 0.5833)  3 O 2.00-2.22
Ti (0.7889, 0.0162, 0.8717)  1 O 2.00
Ti (0.8451, 0.6520, 0.9066)  1 O 2.04
Ti (0.8524, 0.9716, 0.6197)  2 O 2.01-2.05
Ti (0.8651, 0.4223, 0.0385)  1 O 2.01
Ti (0.8718, 0.1777, 0.4342)  3 O 1.95-2.08
Ti (0.8972, 0.2480, 0.8754)  3 O 2.11-2.19
Ti (0.8997, 0.9511, 0.2144)  1 O 2.05
Ti (0.9133, 0.6444, 0.3575)  1 O 1.96
Ti (0.9595, 0.6483, 0.1154)  2 O 2.10-2.22
Ti (0.9673, 0.8422, 0.8047)  2 O 1.94-2.15
Ti (0.9765, 0.4063, 0.6906)  3 O 2.02-2.16
O (0.0032, 0.8364, 0.1069)  5 Ti 2.02-2.22
O (0.0276, 0.4705, 0.0862)  5 Ti 2.00-2.11
O (0.0610, 0.1345, 0.8986)  5 Ti 1.99-2.22
O (0.1166, 0.5885, 0.6210)  4 Ti 1.95-2.13
O (0.1213, 0.9174, 0.8772)  5 Ti 2.01-2.20
O (0.1422, 0.3491, 0.6043)  4 Ti 2.04-2.11
O (0.1628, 0.8538, 0.4098)  4 Ti 1.91-2.09
O (0.1822, 0.1414, 0.2092)  4 Ti 1.92-2.09
O (0.2448, 0.8321, 0.1760)  3 Ti 1.97-2.01
O (0.2677, 0.2002, 0.4429)  5 Ti 2.08-2.17
O (0.3063, 0.7471, 0.9607)  5 Ti 1.97-2.12
O (0.3137, 0.2593, 0.7480)  5 Ti 1.96-2.16
O (0.3588, 0.5472, 0.4252)  4 Ti 1.98-2.09
O (0.3831, 0.9489, 0.3010)  4 Ti 2.00-2.07
O (0.4057, 0.9780, 0.5615)  5 Ti 2.04-2.28
O (0.4079, 0.5466, 0.7039)  5 Ti 2.01-2.23
O (0.4177, 0.1062, 0.8739)  4 Ti 1.95-2.18
O (0.4863, 0.2908, 0.0209)  4 Ti 1.98-2.04
O (0.4887, 0.7424, 0.4169)  3 Ti 1.87-1.93
O (0.5997, 0.9655, 0.4030)  6 Ti 2.08-2.28
O (0.6015, 0.2480, 0.6145)  5 Ti 1.98-2.15
O (0.6066, 0.0878, 0.1382)  4 Ti 2.02-2.06
O (0.6524, 0.7798, 0.2276)  4 Ti 2.03-2.17
O (0.6715, 0.5084, 0.3015)  4 Ti 1.98-2.12
O (0.7025, 0.8860, 0.6042)  5 Ti 2.01-2.22
O (0.7075, 0.6601, 0.7868)  5 Ti 2.04-2.18
O (0.7139, 0.3113, 0.8113)  3 Ti 1.89-2.01
O (0.7318, 0.2924, 0.3941)  4 Ti 1.95-2.18
O (0.8480, 0.5304, 0.6241)  4 Ti 2.00-2.06
O (0.8687, 0.1156, 0.7525)  4 Ti 1.98-2.13
O (0.9015, 0.3040, 0.5557)  4 Ti 1.99-2.23
O (0.9200, 0.7689, 0.6614)  3 Ti 1.94-2.03
O (0.9248, 0.4731, 0.3958)  4 Ti 1.95-2.07
O (0.9796, 0.0778, 0.5570)  5 Ti 1.99-2.13

Output
MP2020-corrected energy in eV for the cell shown: -877.8
M_tot in μB/f.u.: 0.00
Total DFT energy (no corrections) in eV/cell: -854.5
Space group: P1
Polymorph energy (0 for the lowest one) in meV/atom: 342.5
Energy of formation in eV per atom: -1.6930

***

3.
Ti2O | GGA-PBE | relaxed

Unit cell a=10.4530 b=10.8951 c=12.2062 alpha=89.34 beta=86.67 gamma=88.83
Closest atoms and distances in Å follow each position.
Atoms (fractional coordinates):
Ti (0.0000, 0.0000, 0.0000)  3 O 1.98-2.10
Ti (0.0006, 0.9821, 0.4486)  2 O 2.13-2.18
Ti (0.0323, 0.0491, 0.2286)  2 O 2.01-2.03
Ti (0.0612, 0.4834, 0.8604)  1 O 2.00
Ti (0.0691, 0.4901, 0.5258)  2 O 2.05-2.11
Ti (0.0707, 0.5251, 0.0842)  2 O 2.03-2.05
Ti (0.0779, 0.2754, 0.3719)  1 O 2.00
Ti (0.0890, 0.7854, 0.1242)  1 O 1.97
Ti (0.1326, 0.1718, 0.8164)  3 O 1.96-2.19
Ti (0.1408, 0.1719, 0.5695)  3 O 2.11-2.29
Ti (0.1591, 0.2743, 0.1364)  2 O 1.96-2.01
Ti (0.1684, 0.6650, 0.7141)  2 O 2.05-2.06
Ti (0.1955, 0.9091, 0.8328)  2 O 2.03-2.07
Ti (0.1993, 0.8230, 0.3599)  1 O 1.95
Ti (0.2207, 0.8765, 0.5948)  3 O 2.13-2.28
Ti (0.2309, 0.5006, 0.2758)  2 O 1.98-2.03
Ti (0.2466, 0.4043, 0.7130)  3 O 2.11-2.23
Ti (0.2467, 0.6506, 0.9179)  2 O 1.99-2.10
Ti (0.2677, 0.0859, 0.3778)  1 O 2.12
Ti (0.2971, 0.6055, 0.5085)  3 O 1.96-2.10
Ti (0.3019, 0.9673, 0.1721)  1 O 2.00
Ti (0.3086, 0.4026, 0.9632)  3 O 2.06-2.27
Ti (0.3213, 0.3437, 0.4635)  3 O 2.04-2.18
Ti (0.3480, 0.7126, 0.1188)  1 O 2.02
Ti (0.3708, 0.1588, 0.9595)  2 O 2.07-2.11
Ti (0.3854, 0.0420, 0.6395)  3 O 1.93-2.07
Ti (0.3964, 0.2197, 0.1875)  1 O 2.11
Ti (0.4192, 0.8074, 0.7664)  2 O 2.12-2.13
Ti (0.4419, 0.9111, 0.3716)  7 Ti 2.60-2.88
Ti (0.4512, 0.9173, 0.9880)  2 O 1.93-2.04
Ti (0.4547, 0.5664, 0.7029)  3 O 1.92-2.09
Ti (0.4554, 0.6589, 0.3296)  2 O 2.02-2.06
Ti (0.4883, 0.7949, 0.5524)  2 O 2.02-2.05
Ti (0.4908, 0.2921, 0.7888)  4 O 1.94-2.10
Ti (0.5037, 0.5084, 0.1387)  3 O 2.07-2.14
Ti (0.5283, 0.1422, 0.4490)  3 O 1.95-2.09
Ti (0.5546, 0.4907, 0.4739)  4 O 1.97-2.12
Ti (0.5757, 0.0467, 0.2318)  1 O 1.98
Ti (0.5797, 0.8002, 0.1566)  8 Ti 2.69-2.97
Ti (0.5849, 0.6680, 0.9582)  3 O 2.09-2.24
Ti (0.5923, 0.3037, 0.0100)  3 O 1.98-2.21
Ti (0.5976, 0.0072, 0.7873)  2 O 1.98-2.06
Ti (0.6192, 0.3206, 0.2766)  3 O 2.06-2.12
Ti (0.6774, 0.8140, 0.3797)  1 O 2.06
Ti (0.6811, 0.7212, 0.7059)  3 O 1.99-2.16
Ti (0.6971, 0.9600, 0.5665)  3 O 1.99-2.10
Ti (0.7073, 0.4358, 0.6849)  4 O 1.96-2.18
Ti (0.7176, 0.9755, 0.9889)  2 O 1.93-2.09
Ti (0.7295, 0.5898, 0.2823)  1 O 1.99
Ti (0.7820, 0.4825, 0.8847)  4 O 2.04-2.17
Ti (0.7829, 0.4561, 0.0997)  2 O 2.02-2.07
Ti (0.7871, 0.1986, 0.8293)  3 O 1.99-2.05
Ti (0.7901, 0.1602, 0.1284)  3 O 2.08-2.18
Ti (0.7913, 0.6173, 0.4996)  4 O 2.14-2.18
Ti (0.8021, 0.9337, 0.2071)  9 Ti 2.63-2.88
Ti (0.8035, 0.1109, 0.3607)  1 O 2.03
Ti (0.8298, 0.7436, 0.0765)  1 O 1.95
Ti (0.8394, 0.3403, 0.4840)  2 O 1.99-2.16
Ti (0.8654, 0.1197, 0.6063)  5 O 1.95-2.17
Ti (0.8719, 0.9381, 0.7651)  4 O 2.04-2.17
Ti (0.9054, 0.3132, 0.2346)  1 O 2.21
Ti (0.9143, 0.5860, 0.7077)  2 O 1.96-1.98
Ti (0.9367, 0.7718, 0.3302)  1 O 2.05
Ti (0.9554, 0.2853, 0.9869)  3 O 2.01-2.09
Ti (0.9695, 0.3219, 0.7114)  2 O 2.08-2.24
Ti (0.9756, 0.5271, 0.3086)  1 O 2.08
Ti (0.9767, 0.7359, 0.8807)  3 O 2.05-2.28
Ti (0.9934, 0.7679, 0.5672)  3 O 2.07-2.29
O (0.0802, 0.8356, 0.7233)  3 Ti 2.03-2.13
O (0.1324, 0.9596, 0.1050)  4 Ti 1.97-2.03
O (0.1993, 0.0524, 0.6948)  3 Ti 2.02-2.11
O (0.2364, 0.4368, 0.1203)  4 Ti 1.96-2.06
O (0.2592, 0.6519, 0.3581)  4 Ti 1.95-2.06
O (0.2971, 0.2526, 0.8280)  3 Ti 1.96-2.10
O (0.3254, 0.8153, 0.9261)  4 Ti 1.93-2.13
O (0.3381, 0.7164, 0.6354)  6 Ti 2.02-2.20
O (0.3415, 0.1673, 0.5176)  5 Ti 2.04-2.16
O (0.3908, 0.4547, 0.5796)  5 Ti 2.05-2.23
O (0.3967, 0.4499, 0.8131)  4 Ti 1.92-2.11
O (0.3976, 0.5819, 0.0079)  4 Ti 2.02-2.24
O (0.5106, 0.1407, 0.7067)  3 Ti 1.93-1.98
O (0.5279, 0.3201, 0.4312)  3 Ti 1.95-2.06
O (0.5521, 0.0701, 0.9439)  4 Ti 2.04-2.11
O (0.5622, 0.5051, 0.3005)  5 Ti 1.99-2.12
O (0.5941, 0.2003, 0.1443)  5 Ti 1.98-2.12
O (0.6231, 0.5730, 0.6052)  5 Ti 1.99-2.18
O (0.6295, 0.4871, 0.0029)  5 Ti 2.04-2.09
O (0.6567, 0.3381, 0.8372)  3 Ti 1.94-2.17
O (0.6845, 0.7800, 0.5456)  5 Ti 1.99-2.14
O (0.7014, 0.1331, 0.5056)  4 Ti 1.97-2.17
O (0.7848, 0.6584, 0.9446)  3 Ti 1.95-2.09
O (0.7920, 0.2755, 0.6582)  3 Ti 1.95-2.08
O (0.8522, 0.1253, 0.9661)  5 Ti 1.99-2.18
O (0.8588, 0.7534, 0.7469)  4 Ti 1.96-2.11
O (0.8688, 0.8857, 0.9333)  4 Ti 1.93-2.12
O (0.8839, 0.4704, 0.5879)  5 Ti 1.98-2.17
O (0.8918, 0.9352, 0.5957)  5 Ti 2.03-2.13
O (0.9307, 0.4691, 0.9860)  5 Ti 2.00-2.05
O (0.9490, 0.1220, 0.7525)  5 Ti 2.03-2.24
O (0.9606, 0.1772, 0.4719)  4 Ti 1.97-2.18
O (0.9889, 0.6411, 0.4425)  5 Ti 2.05-2.16
O (0.9977, 0.1813, 0.1170)  5 Ti 2.01-2.21

Output
MP2020-corrected energy in eV for the cell shown: -880.1
M_tot in μB/f.u.: 0.00
Total DFT energy (no corrections) in eV/cell: -856.8
Space group: P1
Polymorph energy (0 for the lowest one) in meV/atom: 319.9
Energy of formation in eV per atom: -1.7156

***

4.
Ti3O5 | GGA-PBE | relaxed

Unit cell a=5.2988 b=5.2988 c=9.3479 alpha=90.98 beta=90.98 gamma=42.52
Closest atoms and distances in Å follow each position.
Atoms (fractional coordinates):
Ti (0.0545, 0.0545, 0.3609)  6 O 1.96-2.16
Ti (0.1296, 0.1296, 0.0463)  6 O 1.98-2.15
Ti (0.2187, 0.2187, 0.7362)  5 O 1.88-2.04
Ti (0.7813, 0.7813, 0.2638)  5 O 1.88-2.04
Ti (0.8704, 0.8704, 0.9537)  6 O 1.98-2.15
Ti (0.9455, 0.9455, 0.6391)  6 O 1.96-2.16
O (0.0434, 0.0434, 0.8474)  4 Ti 1.99-2.16
O (0.1289, 0.1289, 0.5570)  3 Ti 1.88-1.98
O (0.2415, 0.2415, 0.2441)  4 Ti 1.97-2.16
O (0.3240, 0.3240, 0.9452)  4 Ti 1.98-2.20
O (0.4102, 0.4102, 0.6584)  3 Ti 1.96-2.04
O (0.5898, 0.5898, 0.3416)  3 Ti 1.96-2.04
O (0.6760, 0.6760, 0.0548)  4 Ti 1.98-2.20
O (0.7585, 0.7585, 0.7559)  4 Ti 1.97-2.16
O (0.8711, 0.8711, 0.4430)  3 Ti 1.88-1.98
O (0.9566, 0.9566, 0.1526)  4 Ti 1.99-2.16

Output
MP2020-corrected energy in eV for the cell shown: -150.9
Total DFT energy (no corrections) in eV/cell: -144.1
Space group: C2/m
Polymorph energy (0 for the lowest one) in meV/atom: 0.0
Energy of formation in eV per atom: -3.3799

***

Which of these has the lowest total DFT energy (no corrections)?
number 3